[1]
Compound: NdTe
Source: the Materials Project
Functional: PBE-GGA
Structure: relaxed

```
2
Lattice="0.7429 2.5705 -3.6184 4.1043 0.1653 -1.8384 0.7510 -1.9132 -4.0035" Properties=species:S:1:pos:R:3 pbc="T T T"
Nd 0.0000 0.0000 0.0000
Te 2.7991 0.4114 -4.7301
```

Output
Formation energy   -1.632 eV per atom
VASP energy   -10.75 eV for the cell shown


[2]
Compound: NdUTe6
Source: the Materials Project
Functional: PBE-GGA
Structure: relaxed

```
8
Lattice="2.1974 -12.9085 0.0000 2.1974 12.9085 0.0000 0.0000 0.0000 4.3916" Properties=species:S:1:pos:R:3 pbc="T T T"
Te 2.1974 -10.9404 0.0000
U 2.1974 -8.6079 2.1958
Te 2.1974 5.2036 0.0000
Te 2.1974 -1.8318 0.0000
Te 2.1974 11.0814 2.1958
Te 2.1974 1.9667 2.1958
Te 2.1974 -5.4133 2.1958
Nd 2.1974 8.5416 0.0000
```

Output
Formation energy   -1.081 eV per atom
VASP energy   -41.03 eV for the cell shown


[3]
Compound: NdTh3
Source: the Materials Project
Functional: PBE-GGA
Structure: relaxed

```
4
Lattice="-2.6911 -4.2740 0.5608 -0.1112 -0.5921 -5.0458 4.3092 -2.6844 0.2201" Properties=species:S:1:pos:R:3 pbc="T T T"
Th 2.1546 -1.3422 0.1100
Nd 0.7535 -3.7752 -2.1324
Th -1.3455 -2.1370 0.2804
Th -0.0556 -0.2961 -2.5229
```

Output
Formation energy   0.049 eV per atom
VASP energy   -26.81 eV for the cell shown


[4]
Compound: Nd3Tl
Source: the Materials Project
Functional: PBE-GGA
Structure: relaxed

```
4
Lattice="-0.1895 -0.5651 -4.9655 -3.0181 -3.9476 0.5644 -3.9832 3.0180 -0.1914" Properties=species:S:1:pos:R:3 pbc="T T T"
Nd -1.6038 -2.2563 -2.2005
Nd -3.5007 -0.4648 0.1865
Tl 0.0000 0.0000 0.0000
Nd -2.0864 1.2264 -2.5784
```

Output
Formation energy   -0.211 eV per atom
VASP energy   -17.51 eV for the cell shown